No. 1
The following is a GGA-PBE calculation of a relaxed structure of LiCeMg14O16, from Materials Project.

Results
Spin magnetization, μB per formula unit: 0.9
E_tot, eV for the cell shown: -193.52

Lattice parameters (Å, degrees): 8.692 8.692 4.361 90.00 90.00 90.00
Space group P4/mmm (No. 123)
One atom of each set of equivalent atoms:
1 Li 0.000 0.000 0.000 [1 per cell]
2 Ce 0.500 0.500 0.000 [1 per cell]
3 Mg 0.000 0.241 0.500 [4 per cell]
4 Mg 0.000 0.500 0.000 [2 per cell]
5 Mg 0.231 0.500 0.500 [4 per cell]
6 Mg 0.236 0.236 0.000 [4 per cell]
7 O 0.000 0.000 0.500 [1 per cell]
8 O 0.000 0.256 0.000 [4 per cell]
9 O 0.000 0.500 0.500 [2 per cell]
10 O 0.235 0.500 0.000 [4 per cell]
11 O 0.252 0.252 0.500 [4 per cell]
12 O 0.500 0.500 0.500 [1 per cell]

No. 2
The following is a GGA-PBE calculation of a relaxed structure of LiCeMg14O16, from Materials Project.

Results
Spin magnetization, μB per formula unit: 0.8
E_tot, eV for the cell shown: -193.50

Lattice parameters (Å, degrees): 4.363 8.697 8.708 90.00 90.00 90.00
Space group Pmmm (No. 47)
One atom of each set of equivalent atoms:
1 Li 0.000 0.000 0.000 [1 per cell]
2 Ce 0.000 0.000 0.500 [1 per cell]
3 Mg 0.000 0.255 0.235 [4 per cell]
4 Mg 0.000 0.500 0.000 [1 per cell]
5 Mg 0.000 0.500 0.500 [1 per cell]
6 Mg 0.500 0.000 0.226 [2 per cell]
7 Mg 0.500 0.247 0.000 [2 per cell]
8 Mg 0.500 0.267 0.500 [2 per cell]
9 Mg 0.500 0.500 0.245 [2 per cell]
10 O 0.000 0.000 0.237 [2 per cell]
11 O 0.000 0.263 0.000 [2 per cell]
12 O 0.000 0.266 0.500 [2 per cell]
13 O 0.000 0.500 0.250 [2 per cell]
14 O 0.500 0.000 0.000 [1 per cell]
15 O 0.500 0.000 0.500 [1 per cell]
16 O 0.500 0.249 0.252 [4 per cell]
17 O 0.500 0.500 0.000 [1 per cell]
18 O 0.500 0.500 0.500 [1 per cell]

No. 3
The following is a GGA-PBE calculation of a relaxed structure of Li2CeN2, from Materials Project.

Results
E_tot, eV for the cell shown: -31.33

Lattice parameters (Å, degrees): 3.5913 3.5913 5.4716 90.00 90.00 120.00
Space group P-3m1 (No. 164)
One atom of each set of equivalent atoms:
1 Li 0.3333 0.6667 0.3943 [2 per cell]
2 Ce 0.0000 0.0000 0.0000 [1 per cell]
3 N 0.3333 0.6667 0.7743 [2 per cell]

No. 4
The following is a GGA-PBE calculation of a relaxed structure of Li8CeO6, from Materials Project.

Results
E_tot, eV for the cell shown: -249.87

Lattice parameters (Å, degrees): 5.6561 5.6561 16.2235 90.00 90.00 120.00
Space group R-3 (No. 148, hexagonal axes)
One atom of each set of equivalent atoms:
1 Li 0.0000 0.0000 0.1465 [6 per cell]
2 Li 0.0194 0.3122 0.7098 [18 per cell]
3 Ce 0.0000 0.0000 0.5000 [3 per cell]
4 O 0.0078 0.3560 0.2517 [18 per cell]

No. 5
The following is a GGA-PBE calculation of a relaxed structure of LiCe2O3, from Materials Project.

Results
Spin magnetization, μB per formula unit: 2.8
Distance to the lowest polymorph of the same formula, eV/f.u.: 0.31

Lattice parameters (Å, degrees): 7.148 3.941 6.967 90.00 109.25 90.00
Space group Cm (No. 8)
One atom of each set of equivalent atoms:
1 Li 0.000 0.000 0.000 [2 per cell]
2 Ce 0.232 0.000 0.718 [2 per cell]
3 Ce 0.277 0.500 0.295 [2 per cell]
4 O 0.114 0.000 0.321 [2 per cell]
5 O 0.177 0.500 0.949 [2 per cell]
6 O 0.395 0.500 0.671 [2 per cell]

No. 6
The following is a GGA-PBE calculation of a relaxed structure of LiCe2O3, from Materials Project.

Results
Spin magnetization, μB per formula unit: 0.1
Distance to the lowest polymorph of the same formula, eV/f.u.: 0.00

Lattice parameters (Å, degrees): 3.4748 3.4748 8.0805 90.00 90.00 120.00
Space group P-3m1 (No. 164)
One atom of each set of equivalent atoms:
1 Li 0.0000 0.0000 0.0000 [1 per cell]
2 Ce 0.3333 0.6667 0.6804 [2 per cell]
3 O 0.0000 0.0000 0.5000 [1 per cell]
4 O 0.3333 0.6667 0.1602 [2 per cell]

No. 7
The following is a GGA-PBE calculation of a relaxed structure of LiCeO3, from Materials Project.

Results
Spin magnetization, μB per formula unit: 1.0
E_tot, eV for the cell shown: -33.36

Lattice parameters (Å, degrees): 3.683 3.683 3.683 90.00 90.00 90.00
Space group Pm-3m (No. 221)
One atom of each set of equivalent atoms:
1 Li 0.000 0.000 0.000 [1 per cell]
2 Ce 0.500 0.500 0.500 [1 per cell]
3 O 0.000 0.000 0.500 [3 per cell]

No. 8
The following is a GGA-PBE calculation of a relaxed structure of LiCeS2O9, from Materials Project.

Results
Spin magnetization, μB per formula unit: 1.0
E_tot, eV for the cell shown: -335.09

Lattice parameters (Å, degrees): 8.183 4.648 18.319 90.00 97.95 90.00
Space group P2_1/c (No. 14)
One atom of each set of equivalent atoms:
1 Li 0.114 0.068 0.294 [4 per cell]
2 Ce 0.383 0.513 0.601 [4 per cell]
3 S 0.275 0.552 0.236 [4 per cell]
4 S 0.291 0.034 0.447 [4 per cell]
5 O 0.110 0.063 0.744 [4 per cell]
6 O 0.133 0.071 0.401 [4 per cell]
7 O 0.136 0.063 0.082 [4 per cell]
8 O 0.270 0.629 0.731 [4 per cell]
9 O 0.272 0.622 0.017 [4 per cell]
10 O 0.328 0.049 0.664 [4 per cell]
11 O 0.369 0.176 0.970 [4 per cell]
12 O 0.395 0.052 0.798 [4 per cell]
13 O 0.413 0.614 0.907 [4 per cell]

No. 9
The following is a GGA-PBE calculation of a relaxed structure of Li2CeP2, from Materials Project.

Results
E_tot, eV for the cell shown: -25.58

Lattice parameters (Å, degrees): 4.1568 4.1568 6.6365 90.00 90.00 120.00
Space group P-3m1 (No. 164)
One atom of each set of equivalent atoms:
1 Li 0.3333 0.6667 0.1223 [2 per cell]
2 Ce 0.0000 0.0000 0.5000 [1 per cell]
3 P 0.3333 0.6667 0.7309 [2 per cell]

No. 10
The following is a GGA-PBE calculation of a relaxed structure of Li2CePb, from Materials Project.

Results
Spin magnetization, μB per formula unit: 1.3
E_tot, eV for the cell shown: -57.98

Lattice parameters (Å, degrees): 7.042 7.042 7.042 90.00 90.00 90.00
Space group Fm-3m (No. 225)
One atom of each set of equivalent atoms:
1 Li 0.250 0.250 0.250 [8 per cell]
2 Ce 0.000 0.000 0.000 [4 per cell]
3 Pb 0.000 0.000 0.500 [4 per cell]

No. 11
The following is a GGA-PBE calculation of a relaxed structure of Li2CeSb2, from Materials Project.

Results
Spin magnetization, μB per formula unit: 1.1
E_tot, eV for the cell shown: -42.98

Lattice parameters (Å, degrees): 4.616 4.616 11.113 90.00 90.00 90.00
Space group P4/nmm (No. 129, origin choice 2)
One atom of each set of equivalent atoms:
1 Li 0.250 0.250 0.122 [2 per cell]
2 Li 0.250 0.750 0.500 [2 per cell]
3 Ce 0.250 0.250 0.769 [2 per cell]
4 Sb 0.250 0.250 0.352 [2 per cell]
5 Sb 0.250 0.750 0.000 [2 per cell]

No. 12
The following is a GGA-PBE calculation of a relaxed structure of LiCeSi2, from Materials Project.

Results
E_tot, eV for the cell shown: -84.12

Lattice parameters (Å, degrees): 7.667 3.870 10.480 90.00 90.00 90.00
Space group Pnma (No. 62)
One atom of each set of equivalent atoms:
1 Li 0.005 0.250 0.110 [4 per cell]
2 Ce 0.138 0.750 0.364 [4 per cell]
3 Si 0.164 0.750 0.679 [4 per cell]
4 Si 0.231 0.750 0.070 [4 per cell]

No. 13
The following is a GGA-PBE calculation of a relaxed structure of LiCeSn, from Materials Project.

Results
Spin magnetization, μB per formula unit: 1.0
E_tot, eV for the cell shown: -51.76

Lattice parameters (Å, degrees): 6.740 6.740 6.740 90.00 90.00 90.00
Space group F-43m (No. 216)
One atom of each set of equivalent atoms:
1 Li 0.000 0.000 0.000 [4 per cell]
2 Ce 0.250 0.250 0.250 [4 per cell]
3 Sn 0.250 0.250 0.750 [4 per cell]

No. 14
The following is a GGA-PBE calculation of a relaxed structure of LiCeSn, from Materials Project.

Results
Spin magnetization, μB per formula unit: 0.9
E_tot, eV for the cell shown: -107.57

Lattice parameters (Å, degrees): 9.5532 9.5532 7.5290 90.00 90.00 120.00
Space group P6_3mc (No. 186)
One atom of each set of equivalent atoms:
1 Li 0.1669 0.3337 0.0000 [6 per cell]
2 Li 0.3333 0.6667 0.6170 [2 per cell]
3 Ce 0.0000 0.0000 0.2897 [2 per cell]
4 Ce 0.0239 0.5119 0.2918 [6 per cell]
5 Sn 0.1668 0.3335 0.5583 [6 per cell]
6 Sn 0.3333 0.6667 0.0168 [2 per cell]

No. 15
The following is a GGA-PBE calculation of a relaxed structure of LiCeSn2, from Materials Project.

Results
Spin magnetization, μB per formula unit: 1.1
E_tot, eV for the cell shown: -71.50

Lattice parameters (Å, degrees): 4.533 18.990 4.581 90.00 90.00 90.00
Space group Cmcm (No. 63)
One atom of each set of equivalent atoms:
1 Li 0.000 0.177 0.250 [4 per cell]
2 Ce 0.000 0.394 0.250 [4 per cell]
3 Sn 0.000 0.044 0.250 [4 per cell]
4 Sn 0.000 0.250 0.750 [4 per cell]

No. 16
The following is a GGA-PBE calculation of a relaxed structure of LiCeTl2, from Materials Project.

Results
E_tot, eV for the cell shown: -54.69

Lattice parameters (Å, degrees): 7.476 7.476 7.476 90.00 90.00 90.00
Space group Fm-3m (No. 225)
One atom of each set of equivalent atoms:
1 Li 0.000 0.000 0.000 [4 per cell]
2 Ce 0.000 0.000 0.500 [4 per cell]
3 Tl 0.250 0.250 0.250 [8 per cell]

No. 17
The following is a GGA-PBE calculation of a relaxed structure of CeLuMg2, from Materials Project.

Results
Spin magnetization, μB per formula unit: 0.9
E_tot, eV for the cell shown: -54.69

Lattice parameters (Å, degrees): 7.563 7.563 7.563 90.00 90.00 90.00
Space group Fm-3m (No. 225)
One atom of each set of equivalent atoms:
1 Ce 0.000 0.000 0.000 [4 per cell]
2 Lu 0.000 0.000 0.500 [4 per cell]
3 Mg 0.250 0.250 0.250 [8 per cell]

No. 18
The following is a GGA-PBE calculation of a relaxed structure of CeLuO3, from Materials Project.

Results
Spin magnetization, μB per formula unit: 1.0
E_tot, eV for the cell shown: -170.75

Lattice parameters (Å, degrees): 5.990 8.345 5.770 90.00 90.00 90.00
Space group Pnma (No. 62)
One atom of each set of equivalent atoms:
1 Ce 0.055 0.250 0.013 [4 per cell]
2 Lu 0.000 0.000 0.500 [4 per cell]
3 O 0.052 0.750 0.375 [4 per cell]
4 O 0.189 0.565 0.813 [8 per cell]

No. 19
The following is a GGA-PBE calculation of a relaxed structure of CeLuS3, from Materials Project.

Results
Spin magnetization, μB per formula unit: 0.9
Distance to the lowest polymorph of the same formula, eV/f.u.: 0.67

Lattice parameters (Å, degrees): 3.768 12.828 9.919 90.00 90.00 90.00
Space group Cmcm (No. 63)
One atom of each set of equivalent atoms:
1 Ce 0.000 0.000 0.000 [4 per cell]
2 Lu 0.000 0.244 0.250 [4 per cell]
3 S 0.000 0.106 0.750 [4 per cell]
4 S 0.000 0.352 0.584 [8 per cell]